# 1
A relaxed OsO2 crystal. Source: the Materials Project database, functional PBE-GGA.

abc: 4.516 4.516 3.222
angles: 90.00 90.00 90.00
Atoms (fractional coordinates):
1 Os 0.000 0.000 0.000
2 Os 0.500 0.500 0.500
3 O 0.192 0.192 0.500
4 O 0.308 0.692 0.000
5 O 0.692 0.308 0.000
6 O 0.808 0.808 0.500

energy relative to the elements: -4.03 eV per formula unit



# 2
A relaxed Pr2P2OsO crystal. Source: the Materials Project database, functional PBE-GGA.

abc: 3.141 3.141 14.646
angles: 90.00 90.00 90.00
Atoms (fractional coordinates):
1 Pr 0.000 0.000 0.145
2 Pr 0.000 0.000 0.855
3 P 0.000 0.000 0.348
4 P 0.000 0.000 0.652
5 Os 0.000 0.000 0.500
6 O 0.000 0.000 0.000

energy relative to the elements: 0.43 eV per formula unit



# 3
A relaxed PrPOsO crystal. Source: the Materials Project database, functional PBE-GGA.

abc: 4.075 4.075 8.352
angles: 90.00 90.00 90.00
Atoms (fractional coordinates):
1 Pr 0.250 0.250 0.143
2 Pr 0.750 0.750 0.857
3 P 0.250 0.250 0.642
4 P 0.750 0.750 0.358
5 Os 0.250 0.750 0.500
6 Os 0.750 0.250 0.500
7 O 0.250 0.750 0.000
8 O 0.750 0.250 0.000

energy relative to the elements: -7.95 eV per formula unit



# 4
A relaxed PaOsO3 crystal. Source: the Materials Project database, functional PBE-GGA.

abc: 3.961 3.961 3.961
angles: 90.00 90.00 90.00
Atoms (fractional coordinates):
1 Pa 0.000 0.000 0.000
2 Os 0.500 0.500 0.500
3 O 0.000 0.500 0.500
4 O 0.500 0.000 0.500
5 O 0.500 0.500 0.000

energy relative to the elements: -8.29 eV per formula unit



# 5
A relaxed OsPbO3 crystal. Source: the Materials Project database, functional PBE-GGA.

abc: 7.367 7.367 7.367
angles: 60.00 60.00 60.00
Atoms (fractional coordinates):
1 Os 0.000 0.000 0.000
2 Os 0.000 0.000 0.500
3 Os 0.000 0.500 0.000
4 Os 0.500 0.000 0.000
5 Pb 0.000 0.500 0.500
6 Pb 0.500 0.000 0.500
7 Pb 0.500 0.500 0.000
8 Pb 0.500 0.500 0.500
9 O 0.069 0.069 0.681
10 O 0.069 0.681 0.069
11 O 0.069 0.681 0.681
12 O 0.319 0.319 0.931
13 O 0.319 0.931 0.319
14 O 0.319 0.931 0.931
15 O 0.681 0.069 0.069
16 O 0.681 0.069 0.681
17 O 0.681 0.681 0.069
18 O 0.931 0.319 0.319
19 O 0.931 0.319 0.931
20 O 0.931 0.931 0.319

energy relative to the elements: -7.00 eV per formula unit



# 6
A relaxed Pr3OsO7 crystal. Source: the Materials Project database, functional PBE-GGA.

abc: 6.710 6.710 7.656
angles: 90.00 90.00 68.59
Atoms (fractional coordinates):
1 Pr 0.000 0.000 0.000
2 Pr 0.000 0.000 0.500
3 Pr 0.083 0.472 0.750
4 Pr 0.472 0.083 0.250
5 Pr 0.528 0.917 0.750
6 Pr 0.917 0.528 0.250
7 Os 0.500 0.500 0.000
8 Os 0.500 0.500 0.500
9 O 0.105 0.158 0.250
10 O 0.158 0.105 0.750
11 O 0.191 0.560 0.039
12 O 0.191 0.560 0.461
13 O 0.417 0.583 0.750
14 O 0.440 0.809 0.039
15 O 0.440 0.809 0.461
16 O 0.560 0.191 0.539
17 O 0.560 0.191 0.961
18 O 0.583 0.417 0.250
19 O 0.809 0.440 0.539
20 O 0.809 0.440 0.961
21 O 0.842 0.895 0.250
22 O 0.895 0.842 0.750

energy relative to the elements: -33.72 eV per formula unit